[1]
First-principles (r²SCAN) data for Sc7NiBr12 after structural relaxation, as listed in the Materials Project.

Structure (POSCAR):
```
Sc7NiBr12
1.0
6.9736 4.0262 3.1738
-6.9736 4.0262 3.1738
0.0000 -8.0524 3.1738
Sc Ni Br
7 1 12
Cartesian
0.0000 0.0000 0.0000
-1.4312 -1.4024 3.3646
-0.4989 1.9407 3.3646
1.9302 -0.5383 3.3646
-1.9301 0.5382 6.1567
0.4989 -1.9407 6.1567
1.4312 1.4024 6.1567
0.0000 0.0000 4.7606
-2.1424 0.6199 1.5716
0.5343 -2.1653 1.5716
-3.7642 -0.9799 4.6961
-1.0334 -3.7498 4.8252
1.6081 1.5454 1.5716
-2.7307 2.7699 4.8252
2.7307 -2.7699 4.6961
-1.6081 -1.5454 7.9497
1.0334 3.7498 4.6961
3.7642 0.9799 4.8252
-0.5343 2.1653 7.9497
2.1424 -0.6199 7.9497
```

Computed properties:
The formation energy comes out at -1.695 eV per atom. Its space group is R-3, No. 148. As for the magnetization: 0.0499 μB/atom.

=====

[2]
First-principles (r²SCAN) data for Th6NiBr15 after structural relaxation, as listed in the Materials Project.

Structure (POSCAR):
```
Th6NiBr15
1.0
-5.8121 5.8121 5.8121
5.8121 -5.8121 5.8121
5.8121 5.8121 -5.8121
Th Ni Br
6 1 15
Cartesian
2.7969 0.0000 0.0000
8.8272 0.0000 0.0000
0.0000 2.7969 0.0000
0.0000 0.0000 2.7969
0.0000 8.8272 0.0000
0.0000 0.0000 8.8272
0.0000 0.0000 0.0000
5.8121 2.8791 -2.8791
5.8121 0.0000 0.0000
5.8121 -2.8791 2.8791
2.8791 5.8121 -2.8791
2.9329 2.9329 0.0000
2.9329 0.0000 2.9329
2.8791 -2.8791 5.8121
5.8121 2.8791 2.8791
0.0000 5.8121 0.0000
0.0000 0.0000 5.8121
0.0000 2.9329 2.9329
-2.8791 5.8121 2.8791
-2.8791 2.8791 5.8121
2.8791 5.8121 2.8791
2.8791 2.8791 5.8121
```

Computed properties:
The formation energy comes out at -1.765 eV per atom. Its space group is Im-3m, No. 229. As for the magnetization: 0.0460 μB/atom.

=====

[3]
First-principles (r²SCAN) data for NpBr3 after structural relaxation, as listed in the Materials Project.

Structure (POSCAR):
```
NpBr3
1.0
8.0056 0.0000 0.0000
-4.0028 6.9330 0.0000
0.0000 0.0000 4.4126
Np Br
2 6
Cartesian
0.0000 4.6220 0.0000
4.0028 2.3110 2.2063
-0.8614 2.6917 2.2283
-1.2410 6.3332 2.2283
1.9004 2.0919 0.0220
2.1024 4.8412 2.2283
5.2438 0.5998 0.0220
4.8642 4.2414 0.0220
```

Computed properties:
The formation energy comes out at -2.000 eV per atom. Its space group is P6_3, No. 173. As for the magnetization: 1.0000 μB/atom.

=====

[4]
First-principles (r²SCAN) data for NpBr3 after structural relaxation, as listed in the Materials Project.

Structure (POSCAR):
```
NpBr3
1.0
4.1404 0.0000 0.0000
-2.0437 6.6261 0.0000
-0.0118 -0.0468 9.2037
Np Br
2 6
Cartesian
0.0143 3.1675 2.2946
2.0706 3.4118 6.9091
0.0007 1.9606 5.2294
-0.0009 1.9438 8.6099
0.0049 5.4581 6.9080
2.0800 1.1212 2.2957
2.0859 4.6355 0.5938
2.0843 4.6188 3.9742
```

Computed properties:
The formation energy comes out at -1.998 eV per atom. Its space group is P-1, No. 2. As for the magnetization: 1.0000 μB/atom.

=====

[5]
First-principles (r²SCAN) data for Br2O3 after structural relaxation, as listed in the Materials Project.

Structure (POSCAR):
```
Br2O3
1.0
11.7417 0.0000 0.0000
0.0000 7.7666 0.0000
-2.7970 0.0000 8.3866
Br O
16 24
Cartesian
-0.5631 1.6271 2.5631
-1.9616 2.2562 6.7564
2.5236 1.5877 2.1780
1.1251 2.2956 6.3713
3.2340 5.5222 0.1702
1.8355 6.1278 4.3635
4.7974 0.0271 1.6024
3.3989 3.8562 5.7957
5.5458 3.9104 2.5909
4.1473 7.7395 6.7841
7.1093 1.6389 4.0231
5.7108 2.2444 8.2164
7.8197 5.4710 2.0153
6.4212 6.1789 6.2086
10.9063 5.5104 1.6301
9.5078 6.1395 5.8234
-0.5677 5.0606 3.1817
-1.9662 6.5894 7.3750
-0.0762 0.2857 3.3542
-1.4747 3.5976 7.5475
-0.4142 1.2472 6.6561
0.9843 2.6361 2.4628
2.3478 5.6154 1.5306
0.9493 6.0346 5.7239
2.6058 4.4171 4.2239
4.0043 7.2328 0.0307
4.5614 4.6024 0.4832
3.1629 7.0476 4.6765
5.7819 0.7191 3.7101
4.3834 3.1643 7.9034
4.9404 0.5338 8.3559
6.3389 3.3495 4.1626
7.9955 1.7320 2.6627
6.5970 2.1513 6.8559
7.9605 5.1305 5.9238
9.3590 6.5195 1.7305
10.4194 4.1690 0.8391
9.0209 7.4809 5.0323
10.9110 1.1773 1.0116
9.5125 2.7061 5.2049
```

Computed properties:
The formation energy comes out at 0.290 eV per atom. Its space group is P2_1/c, No. 14. As for the magnetization: 0.0000 μB/atom.

=====

[6]
First-principles (r²SCAN) data for Br2O after structural relaxation, as listed in the Materials Project.

Structure (POSCAR):
```
Br2O
1.0
10.2690 0.0000 0.0000
0.0000 3.9899 0.0000
0.0000 0.0000 6.9743
Br O
8 4
Cartesian
0.0603 0.5090 0.0000
2.2715 3.6721 1.2710
2.8630 1.6772 4.7581
5.0742 2.5040 3.4871
5.1947 1.4859 0.0000
7.4060 2.3127 1.2710
7.9975 0.3178 4.7581
10.2087 3.4809 3.4871
1.5231 2.7036 2.6574
3.6113 0.7087 6.1445
6.6576 3.2812 2.6574
8.7458 1.2863 6.1445
```

Computed properties:
The formation energy comes out at 0.211 eV per atom. Its space group is Pna2_1, No. 33. As for the magnetization: 0.0000 μB/atom.

=====

[7]
First-principles (r²SCAN) data for PBr3O after structural relaxation, as listed in the Materials Project.

Structure (POSCAR):
```
PBr3O
1.0
9.4517 0.0000 0.0000
0.0000 10.0019 0.0000
0.0000 0.0000 6.2333
P Br O
4 12 4
Cartesian
1.7947 2.5005 0.7346
2.9311 7.5014 3.8513
6.5206 2.5005 2.3820
7.6570 7.5014 5.4986
0.1461 2.5005 5.5535
1.4673 0.7692 2.0145
1.4673 4.2317 2.0145
3.2586 5.7702 5.1311
3.2586 9.2327 5.1311
4.5797 7.5014 2.4369
4.8720 2.5005 3.7964
6.1931 0.7692 1.1022
6.1931 4.2317 1.1022
7.9844 5.7702 4.2188
7.9844 9.2327 4.2188
9.3056 7.5014 0.6797
1.6180 7.5014 3.2029
3.1078 2.5005 0.0863
6.3439 7.5014 6.1470
7.8337 2.5005 3.0304
```

Computed properties:
The formation energy comes out at -0.866 eV per atom. Its space group is Pnma, No. 62. As for the magnetization: 0.0000 μB/atom.

=====

[8]
First-principles (r²SCAN) data for Pb9Br10O4 after structural relaxation, as listed in the Materials Project.

Structure (POSCAR):
```
Pb9Br10O4
1.0
12.3997 0.0000 0.0000
0.0000 12.3997 0.0000
0.0000 0.0000 8.4709
Pb Br O
18 20 8
Cartesian
0.1207 8.3859 1.6208
1.3721 8.6593 5.4600
2.1861 12.2791 6.8501
2.4594 11.0277 3.0109
3.0999 3.0999 1.7496
3.7405 7.5720 3.0109
4.0138 6.3206 6.8501
4.8278 9.9404 5.4600
6.0792 10.2137 1.6208
6.3206 2.1861 6.8501
7.5720 2.4594 3.0109
8.3859 6.0792 1.6208
8.6593 4.8278 5.4600
9.2998 9.2998 6.7213
9.9404 1.3721 5.4600
10.2137 0.1207 1.6208
11.0277 3.7405 3.0109
12.2791 4.0138 6.8501
0.5184 1.5403 1.0646
0.7917 1.5867 4.9777
1.5403 5.6815 1.0646
1.5867 5.4081 4.9777
3.0999 3.0999 7.4616
3.0999 9.2998 0.0000
4.6132 0.7917 4.9777
4.6596 0.5184 1.0646
5.4081 4.6132 4.9777
5.6815 4.6596 1.0646
6.7183 7.7401 7.4063
6.9916 7.7866 3.4932
7.7401 11.8813 7.4063
7.7866 11.6080 3.4932
9.2998 3.0999 0.0000
9.2998 9.2998 1.0093
10.8130 6.9916 3.4932
10.8595 6.7183 7.4063
11.6080 10.8130 3.4932
11.8813 10.8595 7.4063
1.7417 8.7642 3.1768
2.5643 10.6581 5.2941
3.6355 7.9416 5.2941
4.4582 9.8354 3.1768
7.9416 2.5643 5.2941
8.7642 4.4582 3.1768
9.8354 1.7417 3.1768
10.6581 3.6355 5.2941
```

Computed properties:
The formation energy comes out at -1.189 eV per atom. Its space group is P4/n, No. 85. As for the magnetization: 0.0000 μB/atom.

=====

[9]
First-principles (r²SCAN) data for Pb13Br6O10 after structural relaxation, as listed in the Materials Project.

Structure (POSCAR):
```
Pb13Br6O10
1.0
8.2723 -3.6431 0.0000
8.2723 3.6431 0.0000
-3.5862 0.0000 23.9168
Pb Br O
26 12 20
Cartesian
-0.8899 0.5158 15.1151
0.7346 0.5580 10.0015
5.7967 2.0752 4.9578
0.9032 -0.5158 3.1566
4.1876 0.7596 1.4807
3.9425 1.8964 23.6495
-1.0584 -0.5580 21.9599
5.5827 2.0209 17.9376
2.3008 0.4853 20.3388
7.2229 1.8964 12.2258
8.9548 2.0752 7.0006
2.3945 -0.7596 13.4391
4.0939 -0.4853 8.3804
8.8645 0.4853 15.5364
10.5639 0.7596 10.4777
4.0036 -2.0752 16.9162
5.7355 -1.8964 11.6911
10.6576 -0.4853 3.5780
7.3757 -2.0209 5.9792
14.0168 0.5580 1.9569
9.0159 -1.8964 0.2673
8.7708 -0.7596 22.4361
12.0552 0.5158 20.7602
7.1617 -2.0752 18.9590
12.2238 -0.5580 13.9153
13.8483 -0.5158 8.8018
2.1812 1.2659 6.0259
3.9577 1.1701 11.0006
0.3881 -1.2659 17.9844
7.2928 0.2087 3.1621
5.4997 -0.2087 15.1205
2.1647 -1.1701 22.9590
10.7937 1.1701 0.9578
7.4586 0.2087 8.7963
5.6656 -0.2087 20.7548
12.5703 1.2659 5.9325
9.0007 -1.1701 12.9162
10.7772 -1.2659 17.8909
-3.2247 0.0663 22.5230
16.1831 -0.0663 1.3939
-0.6782 1.1323 23.4791
-1.4317 -0.0663 10.5645
-0.7527 0.0390 7.5808
-2.5457 -0.0390 19.5392
0.1242 1.0784 20.6973
2.7020 2.2634 21.5742
1.1149 -1.1323 11.5206
8.4633 2.2634 14.3011
1.9173 -1.0784 8.7389
11.0411 1.0784 15.1780
4.4951 -2.2634 9.6158
11.8435 1.1323 12.3962
10.2564 -2.2634 2.3427
12.8342 -1.0784 3.2196
15.5041 0.0390 4.3776
14.3901 0.0663 13.3523
13.7110 -0.0390 16.3360
13.6366 -1.1323 0.4378
```

Computed properties:
The formation energy comes out at -1.263 eV per atom. Its space group is C2/c, No. 15. As for the magnetization: 0.0000 μB/atom.

=====

[10]
First-principles (r²SCAN) data for Pb3Br2O2 after structural relaxation, as listed in the Materials Project.

Structure (POSCAR):
```
Pb3Br2O2
1.0
12.3687 0.0000 0.0000
0.0000 5.9225 0.0000
0.0000 0.0000 9.9745
Pb Br O
12 8 8
Cartesian
0.6986 1.4806 2.1360
0.9708 1.4806 5.7476
2.5931 4.4419 3.6459
3.5912 1.4806 8.6331
5.2136 4.4419 0.7604
5.4858 4.4419 7.1232
6.8829 1.4806 2.8512
7.1551 1.4806 9.2141
8.7775 4.4419 1.3414
9.7756 1.4806 6.3286
11.3979 4.4419 4.2268
11.6702 4.4419 7.8385
1.5890 4.4419 0.7815
2.3522 4.4419 6.9259
3.8321 1.4806 1.9387
4.5954 1.4806 5.7688
7.7733 4.4419 4.2057
8.5366 4.4419 8.0358
10.0165 1.4806 3.0485
10.7798 1.4806 9.1929
0.9497 0.0236 3.8847
0.9497 2.9377 3.8847
5.2347 2.9848 8.8719
5.2347 5.8989 8.8719
7.1341 0.0236 1.1026
7.1341 2.9377 1.1026
11.4190 2.9848 6.0898
11.4190 5.8989 6.0898
```

Computed properties:
The formation energy comes out at -1.259 eV per atom. Its space group is Pnma, No. 62. As for the magnetization: 0.0000 μB/atom.

=====

[11]
First-principles (r²SCAN) data for PuBrO after structural relaxation, as listed in the Materials Project.

Structure (POSCAR):
```
PuBrO
1.0
3.9376 0.0000 0.0000
0.0000 3.9376 0.0000
0.0000 0.0000 8.3075
Pu Br O
2 2 2
Cartesian
0.9844 0.9844 1.2405
2.9532 2.9532 7.0670
0.9844 0.9844 5.5050
2.9532 2.9532 2.8025
0.9844 2.9532 0.0000
2.9532 0.9844 0.0000
```

Computed properties:
The formation energy comes out at -2.934 eV per atom. Its space group is P4/nmm, No. 129. As for the magnetization: 1.6667 μB/atom.

=====

[12]
First-principles (r²SCAN) data for Sb4Br2O5 after structural relaxation, as listed in the Materials Project.

Structure (POSCAR):
```
Sb4Br2O5
1.0
6.7148 0.0000 0.0000
0.0000 5.1834 0.0000
-1.9736 0.0000 13.2860
Sb Br O
8 4 10
Cartesian
1.0435 1.1556 0.7420
0.0567 1.4361 7.3850
0.7217 3.1708 3.9765
-0.2651 4.6043 10.6195
5.0063 0.5791 2.6664
4.0195 2.0126 9.3094
4.6844 3.7472 5.9010
3.6976 4.0278 12.5440
2.4864 1.0841 5.0840
1.4996 1.5076 11.7270
3.2415 3.6758 1.5590
2.2547 4.0992 8.2020
-0.9868 0.0000 6.6430
0.0000 2.5917 0.0000
-1.3558 0.0367 12.2060
-0.9457 0.8540 9.4187
0.0411 1.7377 2.7757
-0.3690 2.5549 5.5630
5.1101 2.6284 7.7230
4.7001 3.4457 10.5103
5.6869 4.3294 3.8673
6.0969 5.1466 1.0800
```

Computed properties:
The formation energy comes out at -1.306 eV per atom. Its space group is P2_1/c, No. 14. As for the magnetization: 0.0000 μB/atom.

=====

Repeat the seventh record exactly.
First-principles (r²SCAN) data for PBr3O after structural relaxation, as listed in the Materials Project.

Structure (POSCAR):
```
PBr3O
1.0
9.4517 0.0000 0.0000
0.0000 10.0019 0.0000
0.0000 0.0000 6.2333
P Br O
4 12 4
Cartesian
1.7947 2.5005 0.7346
2.9311 7.5014 3.8513
6.5206 2.5005 2.3820
7.6570 7.5014 5.4986
0.1461 2.5005 5.5535
1.4673 0.7692 2.0145
1.4673 4.2317 2.0145
3.2586 5.7702 5.1311
3.2586 9.2327 5.1311
4.5797 7.5014 2.4369
4.8720 2.5005 3.7964
6.1931 0.7692 1.1022
6.1931 4.2317 1.1022
7.9844 5.7702 4.2188
7.9844 9.2327 4.2188
9.3056 7.5014 0.6797
1.6180 7.5014 3.2029
3.1078 2.5005 0.0863
6.3439 7.5014 6.1470
7.8337 2.5005 3.0304
```

Computed properties:
The formation energy comes out at -0.866 eV per atom. Its space group is Pnma, No. 62. As for the magnetization: 0.0000 μB/atom.

=====

> Which value of formation energy does entry 4 give?

-1.998 eV per atom

=====

> The highest formation energy belongs to which entry?

Br2O3